Computed, not measured: a relaxed structure of LiNi3P4O15 at the GGA+U level of DFT.

CIF file:
```
data_LiNi3P4O15
_chemical_formula_sum 'Li4 Ni12 P16 O60'
_cell_length_a 10.4328
_cell_length_b 6.4247
_cell_length_c 17.9460
_cell_angle_alpha 89.45
_cell_angle_beta 90.00
_cell_angle_gamma 90.00
_space_group_name_H-M_alt 'P 1'
_space_group_IT_number 1
_space_group_name_Hall 'P 1'
loop_
_atom_site_label
_atom_site_type_symbol
_atom_site_fract_x
_atom_site_fract_y
_atom_site_fract_z
Li1 Li 0.2213 0.2686 0.4993
Li2 Li 0.7787 0.2686 0.9993
Li3 Li 0.5778 0.6724 0.5962
Li4 Li 0.4222 0.6724 0.0962
Ni1 Ni 0.7572 0.0180 0.1357
Ni2 Ni 0.2533 0.5034 0.3647
Ni3 Ni 0.2536 0.4933 0.8291
Ni4 Ni 0.2428 0.0180 0.6357
Ni5 Ni 0.7464 0.4933 0.3291
Ni6 Ni 0.7467 0.5034 0.8647
Ni7 Ni 0.7527 0.9943 0.6712
Ni8 Ni 0.5067 0.2725 0.2431
Ni9 Ni 0.9926 0.7722 0.7565
Ni10 Ni 0.0074 0.7722 0.2565
Ni11 Ni 0.4933 0.2725 0.7431
Ni12 Ni 0.2473 0.9943 0.1712
P1 P 0.2676 0.0047 0.3241
P2 P 0.7459 0.9966 0.2882
P3 P 0.4790 0.4444 0.9503
P4 P 0.2320 0.5140 0.6769
P5 P 0.0171 0.6285 0.9281
P6 P 0.7537 0.4917 0.7122
P7 P 0.5210 0.4444 0.4503
P8 P 0.4842 0.1498 0.0742
P9 P 0.9769 0.9469 0.5495
P10 P 0.0231 0.9469 0.0495
P11 P 0.7324 0.0047 0.8241
P12 P 0.9829 0.6285 0.4281
P13 P 0.2463 0.4917 0.2122
P14 P 0.5158 0.1498 0.5742
P15 P 0.7680 0.5140 0.1769
P16 P 0.2541 0.9966 0.7882
O1 O 0.2424 0.1861 0.3770
O2 O 0.6515 0.4778 0.2325
O3 O 0.2089 0.3291 0.6255
O4 O 0.9529 0.7303 0.5085
O5 O 0.4379 0.2313 0.9937
O6 O 0.5745 0.6257 0.4930
O7 O 0.2925 0.8081 0.3697
O8 O 0.8619 0.5430 0.7699
O9 O 0.1067 0.5042 0.4400
O10 O 0.8801 0.0041 0.0432
O11 O 0.1373 0.9711 0.7326
O12 O 0.1520 0.9814 0.2672
O13 O 0.6212 0.0445 0.7662
O14 O 0.8663 0.4902 0.4134
O15 O 0.9108 0.1244 0.5053
O16 O 0.3624 0.4598 0.2682
O17 O 0.1240 0.5420 0.7377
O18 O 0.3485 0.4778 0.7325
O19 O 0.9293 0.9132 0.6284
O20 O 0.7829 0.3026 0.6644
O21 O 0.7075 0.8081 0.8697
O22 O 0.3636 0.0455 0.7298
O23 O 0.7911 0.3291 0.1255
O24 O 0.3812 0.0602 0.5606
O25 O 0.5173 0.3316 0.6294
O26 O 0.7576 0.1861 0.8770
O27 O 0.2171 0.3026 0.1644
O28 O 0.5707 0.4190 0.3712
O29 O 0.8480 0.9814 0.7672
O30 O 0.4827 0.3316 0.1294
O31 O 0.1199 0.0041 0.5432
O32 O 0.6119 0.9799 0.5962
O33 O 0.1381 0.5430 0.2699
O34 O 0.7176 0.8031 0.3351
O35 O 0.0707 0.9132 0.1284
O36 O 0.7452 0.7060 0.1277
O37 O 0.0471 0.7303 0.0085
O38 O 0.6376 0.4598 0.7682
O39 O 0.9928 0.7999 0.3690
O40 O 0.8760 0.5420 0.2377
O41 O 0.2748 0.6787 0.1615
O42 O 0.7252 0.6787 0.6615
O43 O 0.0892 0.1244 0.0053
O44 O 0.5621 0.2313 0.4937
O45 O 0.2304 0.1808 0.8391
O46 O 0.8933 0.5042 0.9400
O47 O 0.7696 0.1808 0.3391
O48 O 0.3881 0.9799 0.0962
O49 O 0.0072 0.7999 0.8690
O50 O 0.6364 0.0455 0.2298
O51 O 0.2824 0.8031 0.8351
O52 O 0.1337 0.4902 0.9134
O53 O 0.8627 0.9711 0.2326
O54 O 0.4255 0.6257 0.9930
O55 O 0.3788 0.0445 0.2662
O56 O 0.6188 0.0602 0.0606
O57 O 0.3729 0.4531 0.4521
O58 O 0.6271 0.4531 0.9521
O59 O 0.2548 0.7060 0.6277
O60 O 0.4293 0.4190 0.8712
```

Computed properties:
For the size of the total moment, the calculation gives 5.0 μB/f.u. As for the space group: Pc (7). The formation energy is -47.7 eV per formula unit.